MnH12C2N2Cl4 (GGA-PBE, optimized geometry); E above lowest polymorph = 0 meV per atom; energy with MP2020 corrections = -423.2 eV per cell; M_tot = 20.00 μB/cell
1.0
7.285 0.000 0.000
0.000 7.285 0.000
0.000 0.000 19.694
H Cl N C Mn
48 16 8 8 4
Cartesian
5.465 3.093 8.780
5.462 6.735 10.913
4.192 1.819 1.067
5.868 2.226 0.572
1.417 2.226 10.419
5.910 5.017 16.386
2.226 1.417 19.122
1.374 5.017 6.539
5.416 2.952 2.833
1.823 6.735 1.067
2.268 5.910 3.308
0.690 1.774 12.679
1.868 2.952 12.679
5.511 0.690 7.014
5.017 5.910 13.154
3.093 5.465 1.067
6.595 5.511 12.679
1.417 5.059 0.572
2.952 1.868 16.861
4.332 5.416 16.861
5.462 0.550 1.067
4.192 5.465 10.913
3.093 1.819 10.913
6.735 1.823 8.780
5.868 5.059 10.419
0.690 5.511 2.833
2.226 5.868 9.275
1.823 0.550 10.913
5.059 5.868 19.122
1.774 6.595 7.014
5.465 4.192 18.627
1.868 4.332 2.833
2.952 5.416 7.014
2.268 1.374 13.154
5.910 2.268 6.539
6.595 1.774 2.833
4.332 1.868 7.014
5.511 6.595 16.861
1.774 0.690 16.861
0.550 1.823 18.627
6.735 5.462 18.627
0.550 5.462 8.780
1.374 2.268 16.386
1.819 3.093 18.627
1.819 4.192 8.780
5.416 4.332 12.679
5.059 1.417 9.275
5.017 1.374 3.308
5.726 2.084 12.306
0.000 3.642 15.216
1.558 5.201 12.306
3.642 0.000 4.477
0.000 0.000 14.770
3.642 0.000 14.324
3.642 3.642 4.923
5.726 5.201 2.459
5.201 1.558 17.234
3.642 3.642 14.770
1.558 2.084 2.459
5.201 5.726 7.387
0.000 3.642 5.370
0.000 0.000 4.923
2.084 5.726 17.234
2.084 1.558 7.387
1.942 1.700 17.048
1.700 1.942 12.493
5.585 1.942 2.646
1.942 5.585 7.201
5.342 5.585 17.048
1.700 5.342 2.646
5.342 1.700 7.201
5.585 5.342 12.493
1.611 5.254 8.611
2.031 5.673 1.236
5.254 5.673 11.083
5.673 5.254 18.457
5.673 2.031 8.611
1.611 2.031 18.457
5.254 1.611 1.236
2.031 1.611 11.083
5.464 5.464 4.923
1.821 5.464 14.770
1.821 1.821 4.923
5.464 1.821 14.770


Be2Nb | GGA-PBE | optimized geometry

The structure in POSCAR format:
```
Be2Nb
1.0
0.000 3.270 3.270
3.270 0.000 3.270
3.270 3.270 0.000
Be Nb
4 2
Cartesian
0.817 0.817 0.817
2.452 2.452 0.817
2.452 0.817 2.452
0.817 2.452 2.452
4.905 4.905 4.905
3.270 3.270 3.270
```


NaAcHg2 | GGA-PBE | optimized geometry

The structure in POSCAR format:
```
NaAcHg2
1.0
-0.126 0.226 5.511
-4.382 2.149 2.573
-3.427 -3.279 2.817
Hg Na Ac
2 1 1
Cartesian
-1.984 -0.226 2.725
-5.951 -0.679 8.176
0.000 0.000 0.000
-3.967 -0.452 5.451
```


MgAl2O4 (GGA-PBE, optimized geometry); E above lowest polymorph = 10 meV per atom; energy with MP2020 corrections = -314.6 eV per cell; M_tot = 0.00 μB/cell
1.0
-1.343 5.119 -2.308
-1.574 -1.226 5.418
12.214 5.352 4.761
O Mg Al
24 6 12
Cartesian
6.565 6.027 6.348
-0.072 2.882 -0.788
3.237 2.963 4.688
-1.418 4.678 0.647
5.696 2.424 5.280
9.033 5.504 6.947
7.448 6.890 3.724
0.998 4.063 1.210
8.435 8.079 5.785
2.389 5.531 3.654
7.856 4.304 4.972
9.205 8.679 3.134
0.940 0.786 5.258
0.526 0.231 0.205
9.863 6.174 4.263
6.453 2.828 2.515
0.184 3.665 3.959
1.825 1.476 2.211
4.009 3.370 1.928
-0.798 2.316 1.712
4.395 4.160 6.667
5.097 4.707 4.251
3.263 6.211 0.646
7.160 3.762 7.370
2.666 4.794 1.860
8.140 3.567 3.173
10.323 8.150 4.844
5.716 6.131 3.049
-1.449 0.910 2.861
1.511 2.207 4.015
3.553 1.557 1.385
8.200 6.164 5.338
4.052 2.279 6.310
0.154 4.717 -0.400
7.424 5.560 8.008
6.113 4.224 5.809
3.379 4.841 5.154
0.814 2.200 0.735
8.862 3.641 6.476
-0.620 4.114 2.263
4.840 2.893 3.597
11.165 4.893 4.352


Na2LiAuCl6 (GGA-PBE, optimized geometry); energy with MP2020 corrections = -32.5 eV per cell; M_tot = 0.28 μB/cell
1.0
0.000 4.990 4.990
4.990 0.000 4.990
4.990 4.990 0.000
Cl Na Au Li
6 2 1 1
Cartesian
4.990 4.990 7.482
7.482 4.990 4.990
2.498 4.990 4.990
4.990 7.482 4.990
4.990 2.498 4.990
4.990 4.990 2.498
7.485 7.485 7.485
2.495 2.495 2.495
0.000 0.000 0.000
4.990 4.990 4.990


SbPC3S3N3Cl3O (GGA-PBE, optimized geometry); energy with MP2020 corrections = -367.0 eV per cell; M_tot = 0.04 μB/cell
1.0
1.487 -7.312 10.114
-11.346 5.395 0.362
0.987 -6.986 -10.402
Cl N Sb S C O P
12 12 4 12 12 4 4
Cartesian
-0.205 -10.766 -0.166
0.622 -3.848 -2.115
-1.586 -1.661 -3.794
-8.281 -2.769 -6.303
-5.327 -6.861 1.787
-1.401 -1.782 3.812
-3.950 0.742 1.875
0.721 -3.913 1.959
-5.413 -6.805 -1.743
-7.536 -4.674 0.109
-7.967 -2.975 6.608
-4.036 0.798 -1.656
1.696 -10.206 -3.439
1.854 -10.309 3.027
-7.461 1.907 0.212
-0.556 -5.024 -5.814
-5.488 -3.092 -8.899
-4.029 -3.045 1.333
-5.051 -3.378 9.052
-4.091 -3.005 -1.232
-0.277 -5.206 5.671
-9.095 0.627 5.979
-2.487 -4.593 -0.013
-9.375 0.810 -5.506
0.318 -1.566 2.166
0.211 -1.496 -2.228
-2.430 1.155 0.078
-6.972 -6.996 0.058
1.249 -7.549 -2.823
-1.471 -7.163 -0.078
-3.565 -2.672 6.832
1.379 -7.634 2.517
-5.820 -2.856 -3.383
-2.411 -5.948 4.079
-7.554 -0.855 0.170
-6.905 0.636 4.293
-7.105 0.767 -3.930
-3.895 -2.456 -6.732
-2.611 -5.817 -4.144
-5.651 -2.967 3.570
-4.398 -3.071 8.082
-2.046 -5.719 -0.041
1.646 -9.138 2.808
-8.139 0.634 5.239
-1.454 -5.368 -5.081
-4.740 -3.014 2.310
-8.384 0.793 -4.814
-7.498 0.699 0.194
1.500 -9.043 -3.174
-4.850 -2.943 -2.172
-1.210 -5.528 4.972
-4.788 -2.816 -7.952
1.148 -5.645 7.808
0.762 -5.393 -8.030
-8.759 4.165 0.279
-2.023 -2.030 0.017
0.645 -4.566 -6.798
0.972 -4.779 6.610
-3.074 -3.084 0.026
-7.416 3.526 0.237


TaNbCu6Te8 (GGA-PBE, optimized geometry); energy with MP2020 corrections = -79.5 eV per cell; M_tot = 0.00 μB/cell
1.0
-1.211 5.417 -2.317
-8.340 -1.747 0.275
-0.425 3.268 7.863
Te Cu Nb Ta
8 6 1 1
Cartesian
-5.393 5.629 4.354
-2.560 2.591 3.407
-2.441 0.936 -0.521
-1.218 6.467 4.127
-1.011 4.870 0.284
-5.175 3.959 0.334
-6.824 1.698 3.547
-6.517 0.083 -0.387
-6.361 -0.493 2.172
-2.191 0.380 2.035
-6.573 1.141 6.103
-0.606 2.709 -1.158
-2.404 2.014 5.966
-4.988 3.469 2.910
0.000 0.000 0.000
-4.382 0.761 4.069


SrCeScO4 (GGA-PBE, optimized geometry); energy with MP2020 corrections = -117.9 eV per cell; M_tot = 2.00 μB/cell
1.0
2.859 -6.207 0.000
2.859 6.207 0.000
0.000 0.000 5.881
Sc Sr O Ce
2 2 8 2
Cartesian
2.859 3.166 2.970
2.859 -3.166 0.029
2.859 4.911 5.794
2.859 -4.911 2.853
1.460 2.822 4.458
1.460 -2.822 1.518
2.859 0.820 2.422
2.859 5.169 3.324
4.258 -2.822 1.518
4.258 2.822 4.458
2.859 -5.169 0.384
2.859 -0.820 5.362
2.859 -1.334 3.037
2.859 1.334 0.096


LiGa5O8 (GGA-PBE, optimized geometry); E above lowest polymorph = 5 meV per atom; energy with MP2020 corrections = -177.9 eV per cell
1.0
-0.438 5.268 2.485
-5.746 -1.012 1.131
2.025 -3.294 7.341
Ga O Li
10 16 2
Cartesian
1.013 -1.647 3.670
0.128 0.901 1.456
1.459 1.073 8.370
-2.909 -1.809 7.024
-2.202 -0.488 3.991
-2.873 -0.506 0.566
-1.250 2.772 3.933
-4.123 2.266 4.499
-1.957 1.451 6.966
-0.036 -1.303 6.458
-0.437 -0.659 4.623
-4.550 3.216 2.808
-3.447 -1.189 5.216
-1.815 3.697 2.269
-1.580 -0.374 7.253
-1.347 -2.905 6.169
-3.722 1.622 6.334
0.090 4.327 4.328
-0.712 2.152 5.741
-2.812 3.868 4.788
1.497 -2.352 5.498
-2.344 -2.735 8.688
-2.579 1.337 3.704
0.391 -2.253 8.149
0.273 1.876 3.063
1.314 0.098 6.763
0.794 0.987 4.913
-3.092 2.128 1.808


LaAlGe2O7 (GGA-PBE, optimized geometry); energy with MP2020 corrections = -336.9 eV per cell; M_tot = 0.00 μB/cell
1.0
-0.519 -6.609 -0.057
6.697 -0.552 3.046
0.693 -0.166 12.979
O Al Ge La
28 4 8 4
Cartesian
1.209 -1.390 12.950
3.002 -5.827 2.621
5.662 -5.938 3.018
2.092 -0.261 8.206
0.161 -5.859 2.765
4.575 -5.911 12.513
2.571 -2.406 9.937
6.083 -5.068 9.516
2.300 -3.940 12.086
4.300 -4.922 6.031
5.126 -0.822 10.395
1.745 -6.506 5.573
3.869 -1.502 13.347
4.779 -7.067 7.762
3.439 -4.757 9.121
1.711 -4.263 4.390
5.160 -3.065 11.578
4.954 -1.199 5.104
3.432 -2.571 6.847
6.709 -1.469 13.203
2.295 -1.417 3.456
1.490 -3.431 1.689
0.788 -2.260 6.452
6.232 -3.044 6.699
1.917 -6.129 10.864
0.638 -4.284 9.269
5.381 -3.897 14.280
4.571 -3.388 3.882
2.112 -4.261 10.317
1.612 -6.130 3.811
4.759 -3.067 5.651
5.258 -1.198 12.157
5.614 -4.475 12.547
4.689 -6.052 9.244
2.432 -2.584 13.203
1.769 -0.825 9.929
1.256 -2.853 3.421
4.439 -4.744 2.765
2.181 -1.276 6.724
5.102 -6.503 6.039
1.742 -4.506 6.916
4.888 -1.390 2.574
5.129 -2.822 9.052
1.983 -5.938 13.394


Rb2LiYCl6 (GGA-PBE, optimized geometry); energy with MP2020 corrections = -46.0 eV per cell; M_tot = 0.00 μB/cell
1.0
7.191 1.538 0.914
2.544 1.993 6.669
4.319 -4.628 3.853
Cl Li Rb Y
6 1 2 1
Cartesian
9.253 -1.811 5.246
6.946 -1.585 8.104
8.372 1.477 6.644
5.682 -2.574 4.792
4.801 0.714 6.190
7.109 0.488 3.332
7.027 -0.549 5.718
3.514 -0.274 2.859
10.541 -0.823 8.577
0.000 0.000 0.000


Y3Si2Rh2 | GGA-PBE | optimized geometry

The structure in POSCAR format:
```
Y3Si2Rh2
1.0
5.630 0.000 0.000
0.000 7.825 0.000
0.000 0.000 13.026
Si Y Rh
8 12 8
Cartesian
3.483 5.869 6.513
2.147 1.956 0.000
0.795 6.999 3.257
4.835 3.086 3.257
0.795 4.739 9.770
3.483 5.869 0.000
4.835 0.826 9.770
2.147 1.956 6.513
3.540 5.881 9.770
2.090 1.944 3.257
4.855 3.077 7.861
0.775 6.990 11.679
3.540 5.857 3.257
0.775 6.990 7.861
0.775 4.747 1.347
4.855 0.835 5.166
2.090 1.968 9.770
4.855 0.835 1.347
0.775 4.747 5.166
4.855 3.077 11.679
3.582 3.672 5.329
2.048 4.153 11.842
3.582 3.672 1.184
3.582 0.241 7.697
2.048 4.153 7.697
3.582 0.241 11.842
2.048 7.584 1.184
2.048 7.584 5.329
```


Number 1: energy relative to the elements -0.6376 eV per atom. Number 2: energy relative to the elements -0.1900 eV per atom. Number 3: energy relative to the elements -0.3600 eV per atom. Number 4: energy relative to the elements -3.3643 eV per atom. Number 5: energy relative to the elements -1.3551 eV per atom. Number 6: energy relative to the elements -0.4400 eV per atom. Number 7: energy relative to the elements -0.4889 eV per atom. Number 8: energy relative to the elements -3.5990 eV per atom. Number 9: energy relative to the elements -2.3084 eV per atom. Number 10: energy relative to the elements -2.8794 eV per atom. Number 11: energy relative to the elements -2.4611 eV per atom. Number 12: energy relative to the elements -0.9514 eV per atom.